The following is a PBE+U calculation of LiFe2F9 after structural relaxation, from the Materials Project database.

POSCAR file:
```
LiFe2F9
1.0
6.1772 -3.9198 0.0000
6.1772 3.9198 0.0000
-4.5504 0.0000 6.8820
Li Fe F
2 4 18
Cartesian
3.9020 2.8257 3.4410 Li
6.1772 -2.8257 0.0000 Li
3.6880 1.2360 0.0974 Fe
8.4859 1.9112 0.1204 Fe
1.4128 -1.2360 3.5384 Fe
6.2107 -1.9112 3.5613 Fe
3.7790 2.2496 1.6234 F
6.8872 2.7318 0.2282 F
0.7658 0.3618 4.3595 F
4.2183 2.6389 5.3064 F
3.0410 -0.3618 0.9185 F
5.9132 2.3437 3.0713 F
5.2461 0.4450 0.1275 F
2.9709 -0.4450 3.5685 F
3.2441 0.2971 6.6651 F
8.1975 1.5409 2.1826 F
5.5193 -0.2971 3.2241 F
10.1265 1.2011 0.2414 F
1.5038 -2.2496 5.0643 F
4.6120 -2.7318 3.6692 F
3.6380 -2.3437 6.5123 F
6.4935 -2.6389 1.8654 F
5.9223 -1.5409 5.6236 F
7.8513 -1.2011 3.6824 F
```

Total DFT energy (no corrections) in eV/atom: -4.530
Energy above the most stable polymorph in this dataset in meV/atom: 7.1

=====

The following is a PBE+U calculation of Ni2As2O7 after structural relaxation, from the Materials Project database.

POSCAR file:
```
Ni2As2O7
1.0
0.0516 -0.0867 5.4049
9.5801 0.1402 -1.2399
-0.9154 5.1187 -1.4778
Ni As O
4 4 14
Cartesian
1.7812 3.5302 0.3589 Ni
6.5713 3.6003 -0.2610 Ni
2.1450 1.5720 2.9482 Ni
6.9350 1.6420 2.3283 Ni
8.8754 1.3531 -0.2236 As
4.0853 1.2830 0.3964 As
4.6309 3.8892 2.2908 As
-0.1591 3.8191 2.9108 As
0.7350 2.0704 1.4626 O
8.1483 0.4433 1.0310 O
4.7900 0.0701 -0.6200 O
5.5250 2.1405 0.8427 O
7.8234 2.1924 -1.2816 O
3.3583 0.3732 1.6510 O
0.5680 4.7289 1.6562 O
5.3580 4.7991 1.0362 O
5.6829 3.0500 3.3488 O
0.0000 0.0000 0.0000 O
3.0333 2.1223 -0.6616 O
3.1912 3.0317 1.8445 O
0.8929 2.9799 3.9688 O
7.9813 3.1018 1.2246 O
```

Total DFT energy (no corrections) in eV/atom: -5.682
Energy above the most stable polymorph in this dataset in meV/atom: 6.5

=====

The following is a PBE+U calculation of KCaCr2F9 after structural relaxation, from the Materials Project database.

POSCAR file:
```
KCaCr2F9
1.0
3.7727 -6.5147 0.0000
3.7727 6.5147 0.0000
0.0000 0.0000 23.8197
K Ca Cr F
6 6 12 54
Cartesian
3.6599 6.2394 9.9239 K
3.7727 6.3915 17.8648 K
3.8855 6.2394 1.9859 K
3.6599 -6.2394 13.8958 K
3.7727 -6.3915 5.9549 K
3.8855 -6.2394 21.8338 K
1.9418 3.1709 3.9708 Ca
3.6550 0.0000 11.9099 Ca
5.6036 3.1709 7.9390 Ca
1.9418 -3.1709 19.8489 Ca
3.8903 0.0000 0.0000 Ca
5.6036 -3.1709 15.8807 Ca
1.8358 3.1423 8.0001 Cr
2.0283 3.2727 23.7572 Cr
5.5171 3.2727 11.9724 Cr
1.8358 -3.1423 15.8196 Cr
3.7397 0.1029 15.9393 Cr
3.8056 0.1029 19.7904 Cr
3.7397 -0.1029 7.8805 Cr
3.8056 -0.1029 4.0294 Cr
5.7095 3.1423 3.9097 Cr
2.0283 -3.2727 0.0626 Cr
5.5171 -3.2727 11.8473 Cr
5.7095 -3.1423 19.9100 Cr
1.7158 2.9062 21.8305 F
1.6442 2.6981 6.1383 F
2.3503 3.5952 1.8062 F
1.6873 1.3287 11.5186 F
3.4468 4.1732 7.6748 F
3.5643 4.3537 20.2960 F
1.9141 1.3539 0.2046 F
2.0061 0.9600 16.1356 F
3.9811 4.3537 15.4337 F
2.0672 0.7529 3.9084 F
4.0985 4.1732 4.2351 F
3.6253 2.9747 12.2371 F
3.0930 1.8736 19.5267 F
3.0406 1.6609 8.2495 F
3.9200 2.9747 23.4925 F
1.6873 -1.3287 12.3011 F
2.0672 -0.7529 19.9113 F
2.0061 -0.9600 7.6841 F
1.9141 -1.3539 23.6151 F
5.1950 3.5952 10.1036 F
1.6442 -2.6981 17.6815 F
4.4523 1.8736 16.2029 F
1.7158 -2.9062 1.9893 F
3.6928 0.4023 14.0611 F
4.5047 1.6609 3.6604 F
3.8525 0.4023 21.6686 F
3.7727 0.2517 5.9549 F
3.7727 -0.2517 17.8648 F
3.6928 -0.4023 9.7587 F
3.0406 -1.6609 15.5703 F
3.8525 -0.4023 2.1512 F
5.8295 2.9062 13.8992 F
3.0930 -1.8736 4.2930 F
5.9011 2.6981 5.7716 F
2.3503 -3.5952 22.0135 F
5.6312 1.3539 11.7053 F
5.5393 0.9600 19.5940 F
5.4781 0.7529 8.0014 F
5.8581 1.3287 0.3913 F
3.6253 -2.9747 11.5826 F
4.5047 -1.6609 20.1594 F
4.4523 -1.8736 7.6168 F
3.9200 -2.9747 0.3272 F
3.4468 -4.1732 16.1449 F
5.4781 -0.7529 15.8183 F
3.5643 -4.3537 3.5238 F
5.5393 -0.9600 4.2258 F
5.6312 -1.3539 12.1145 F
3.9811 -4.3537 8.3861 F
4.0985 -4.1732 19.5847 F
5.8581 -1.3287 23.4285 F
5.1950 -3.5952 13.7161 F
5.9011 -2.6981 18.0482 F
5.8295 -2.9062 9.9206 F
```

Total DFT energy (no corrections) in eV/atom: -5.770